(1)
## Ca10Al6Ge9 (PBE-GGA)

Data for a relaxed Ca10Al6Ge9 crystal.

Cell and atoms, written as CIF:
```
data_Ca10Al6Ge9
_space_group_name_H-M_alt 'R -3 m'
_space_group_IT_number 166
_space_group_name_Hall '-R 3 2"'
_cell_length_a 13.9650
_cell_length_b 13.9650
_cell_length_c 21.1525
_cell_angle_alpha 90.00
_cell_angle_beta 90.00
_cell_angle_gamma 120.00
loop_
_atom_site_label
_atom_site_type_symbol
_atom_site_fract_x
_atom_site_fract_y
_atom_site_fract_z
_atom_site_occupancy
Ca1 Ca 0.0000 0.0000 0.0000 1
Ca2 Ca 0.0000 0.0000 0.5000 1
Ca3 Ca 0.0000 0.2914 0.0000 1
Ca4 Ca 0.0000 0.2929 0.5000 1
Ca5 Ca 0.0969 0.1939 0.2471 1
Al1 Al 0.0716 0.1433 0.6430 1
Al2 Al 0.0955 0.1910 0.8734 1
Ge1 Ge 0.0637 0.5318 0.4227 1
Ge2 Ge 0.1070 0.2139 0.0976 1
Ge3 Ge 0.1091 0.2182 0.4041 1
```

## Properties
Its electronic total energy is -3.90 eV per atom.

(2)
## Ca2AlH10IO8 (PBE-GGA)

Data for a relaxed Ca2AlH10IO8 crystal.

Cell and atoms, written as CIF:
```
data_Ca2AlH10IO8
_space_group_name_H-M_alt 'P 1'
_space_group_IT_number 1
_space_group_name_Hall 'P 1'
_cell_length_a 5.810
_cell_length_b 5.821
_cell_length_c 9.823
_cell_angle_alpha 91.64
_cell_angle_beta 104.94
_cell_angle_gamma 119.37
loop_
_atom_site_label
_atom_site_type_symbol
_atom_site_fract_x
_atom_site_fract_y
_atom_site_fract_z
_atom_site_occupancy
Ca1 Ca 0.000 0.000 0.000 1
Ca2 Ca 0.266 0.630 0.882 1
Al1 Al 0.634 0.314 0.942 1
H1 H 0.073 0.499 0.148 1
H2 H 0.158 0.973 0.319 1
H3 H 0.189 0.127 0.736 1
H4 H 0.248 0.647 0.567 1
H5 H 0.286 0.280 0.314 1
H6 H 0.533 0.045 0.148 1
H7 H 0.621 0.026 0.737 1
H8 H 0.630 0.592 0.145 1
H9 H 0.722 0.582 0.739 1
H10 H 0.954 0.411 0.563 1
I1 I 0.584 0.841 0.440 1
O1 O 0.007 0.408 0.050 1
O2 O 0.120 0.570 0.625 1
O3 O 0.140 0.099 0.260 1
O4 O 0.263 0.223 0.834 1
O5 O 0.446 0.044 0.049 1
O6 O 0.626 0.026 0.836 1
O7 O 0.646 0.603 0.050 1
O8 O 0.818 0.584 0.836 1
```

## Properties
Its electronic total energy is -5.38 eV per atom.

(3)
## Ca3Al2H12O12 (PBE-GGA)

Data for a relaxed Ca3Al2H12O12 crystal.

Cell and atoms, written as CIF:
```
data_Ca3Al2H12O12
_space_group_name_H-M_alt 'I a -3 d'
_space_group_IT_number 230
_space_group_name_Hall '-I 4bd 2c 3'
_cell_length_a 12.714
_cell_length_b 12.714
_cell_length_c 12.714
_cell_angle_alpha 90.00
_cell_angle_beta 90.00
_cell_angle_gamma 90.00
loop_
_atom_site_label
_atom_site_type_symbol
_atom_site_fract_x
_atom_site_fract_y
_atom_site_fract_z
_atom_site_occupancy
Ca1 Ca 0.000 0.250 0.125 1
Al1 Al 0.000 0.000 0.000 1
H1 H 0.050 0.160 0.900 1
O1 O 0.027 0.052 0.640 1
```

## Properties
Its electronic total energy is -5.72 eV per atom.

(4)
## Ca2Al3H3O8 (PBE-GGA)

Data for a relaxed Ca2Al3H3O8 crystal.

Cell and atoms, written as CIF:
```
data_Ca2Al3H3O8
_space_group_name_H-M_alt 'C m c e'
_space_group_IT_number 64
_space_group_name_Hall '-C 2ac 2'
_cell_length_a 12.928
_cell_length_b 8.925
_cell_length_c 12.551
_cell_angle_alpha 90.00
_cell_angle_beta 90.00
_cell_angle_gamma 90.00
loop_
_atom_site_label
_atom_site_type_symbol
_atom_site_fract_x
_atom_site_fract_y
_atom_site_fract_z
_atom_site_occupancy
Ca1 Ca 0.000 0.212 0.151 1
Ca2 Ca 0.142 0.000 0.500 1
Al1 Al 0.123 0.137 0.871 1
Al2 Al 0.250 0.111 0.250 1
H1 H 0.000 0.017 0.322 1
H2 H 0.173 0.159 0.048 1
O1 O 0.000 0.036 0.610 1
O2 O 0.000 0.052 0.856 1
O3 O 0.130 0.224 0.002 1
O4 O 0.138 0.220 0.276 1
O5 O 0.221 0.004 0.133 1
```

## Properties
Its electronic total energy is -6.59 eV per atom.

(5)
## CaAl2Si2H4O10 (PBE-GGA)

Data for a relaxed CaAl2Si2H4O10 crystal.

Cell and atoms, written as CIF:
```
data_CaAl2Si2H4O10
_space_group_name_H-M_alt 'P n m a'
_space_group_IT_number 62
_space_group_name_Hall '-P 2ac 2n'
_cell_length_a 13.222
_cell_length_b 5.934
_cell_length_c 8.854
_cell_angle_alpha 90.00
_cell_angle_beta 90.00
_cell_angle_gamma 90.00
loop_
_atom_site_label
_atom_site_type_symbol
_atom_site_fract_x
_atom_site_fract_y
_atom_site_fract_z
_atom_site_occupancy
Ca1 Ca 0.248 0.250 0.082 1
Al1 Al 0.000 0.000 0.000 1
Al2 Al 0.000 0.000 0.500 1
Si1 Si 0.131 0.750 0.230 1
Si2 Si 0.135 0.250 0.727 1
H1 H 0.031 0.750 0.782 1
H2 H 0.096 0.250 0.313 1
H3 H 0.173 0.750 0.884 1
H4 H 0.212 0.250 0.447 1
O1 O 0.038 0.250 0.380 1
O2 O 0.052 0.750 0.890 1
O3 O 0.062 0.750 0.387 1
O4 O 0.066 0.250 0.885 1
O5 O 0.115 0.521 0.130 1
O6 O 0.121 0.027 0.620 1
O7 O 0.247 0.750 0.855 1
O8 O 0.248 0.750 0.300 1
```

## Properties
Its electronic total energy is -6.75 eV per atom. As for the relative energy among the computed polymorphs: 0.002 eV per atom.

(6)
## CaAl2Si3H4O12 (PBE-GGA)

Data for a relaxed CaAl2Si3H4O12 crystal.

Cell and atoms, written as CIF:
```
data_CaAl2Si3H4O12
_space_group_name_H-M_alt 'C 1 c 1'
_space_group_IT_number 9
_space_group_name_Hall 'C -2yc'
_cell_length_a 6.580
_cell_length_b 18.367
_cell_length_c 10.042
_cell_angle_alpha 90.00
_cell_angle_beta 109.04
_cell_angle_gamma 90.00
loop_
_atom_site_label
_atom_site_type_symbol
_atom_site_fract_x
_atom_site_fract_y
_atom_site_fract_z
_atom_site_occupancy
Ca1 Ca 0.000 0.145 0.000 1
Al1 Al 0.065 0.339 0.129 1
Al2 Al 0.386 0.083 0.267 1
Si1 Si 0.194 0.222 0.366 1
Si2 Si 0.268 0.030 0.524 1
Si3 Si 0.355 0.373 0.932 1
H1 H 0.001 0.140 0.716 1
H2 H 0.111 0.449 0.485 1
H3 H 0.197 0.411 0.636 1
H4 H 0.246 0.122 0.787 1
O1 O 0.017 0.056 0.457 1
O2 O 0.121 0.140 0.809 1
O3 O 0.151 0.391 0.792 1
O4 O 0.178 0.303 0.300 1
O5 O 0.218 0.161 0.252 1
O6 O 0.226 0.418 0.545 1
O7 O 0.265 0.050 0.094 1
O8 O 0.284 0.361 0.071 1
O9 O 0.378 0.023 0.401 1
O10 O 0.402 0.089 0.643 1
O11 O 0.409 0.227 0.508 1
O12 O 0.480 0.299 0.907 1
```

## Properties
Its electronic total energy is -6.93 eV per atom.

(7)
## CaAl2SiH4O8 (PBE-GGA)

Data for a relaxed CaAl2SiH4O8 crystal.

Cell and atoms, written as CIF:
```
data_CaAl2SiH4O8
_space_group_name_H-M_alt 'I 41/a'
_space_group_IT_number 88
_cell_length_a 5.008
_cell_length_b 5.008
_cell_length_c 23.436
_cell_angle_alpha 90.00
_cell_angle_beta 90.00
_cell_angle_gamma 90.00
loop_
_space_group_symop_operation_xyz
'x,y,z'
'-x,-y,-z'
'-y+3/4,x+1/4,z+1/4'
'y+3/4,-x+1/4,-z+1/4'
'-x+1/2,-y,z+1/2'
'x+1/2,y,-z+1/2'
'y+3/4,-x+3/4,z+3/4'
'-y+3/4,x+3/4,-z+3/4'
'x+1/2,y+1/2,z+1/2'
'-x+1/2,-y+1/2,-z+1/2'
'-y+1/4,x+3/4,z+3/4'
'y+1/4,-x+3/4,-z+3/4'
'-x,-y+1/2,z'
'x,y+1/2,-z'
'y+1/4,-x+1/4,z+1/4'
'-y+1/4,x+1/4,-z+1/4'
loop_
_atom_site_label
_atom_site_type_symbol
_atom_site_fract_x
_atom_site_fract_y
_atom_site_fract_z
_atom_site_occupancy
Ca1 Ca 0.000 0.250 0.125 1
Al1 Al 0.000 0.250 0.285 1
Si1 Si 0.000 0.250 0.625 1
H1 H 0.120 0.060 0.466 1
O1 O 0.132 0.494 0.663 1
O2 O 0.172 0.063 0.220 1
```

## Properties
Its electronic total energy is -6.54 eV per atom.